Entry 1:
First-principles (GGA+U) data for an optimized crystal structure of Bi26Mo10O69, as listed in Materials Project.

```
105
Lattice="-5.9200 0.0000 0.0000 -0.0019 -11.9069 0.0000 0.1730 5.3931 24.9339" Properties=species:S:1:pos:R:3 pbc="T T T"
Bi -0.4855 -4.6862 8.1546
Bi -5.2634 -1.8276 16.7793
Bi -2.8722 -2.9077 10.1730
Bi -2.8767 -3.6060 14.7609
Bi -3.4483 -2.7087 6.4531
Bi -2.3007 -3.8051 18.4809
Bi -5.8265 -0.8978 8.6491
Bi 0.0776 -5.6160 16.2849
Bi -5.8757 -0.7029 4.5796
Bi 0.1268 -5.8109 20.3543
Bi -0.4333 -4.5568 4.4163
Bi -5.3156 -1.9570 20.5176
Bi -3.4105 -6.4905 6.2854
Bi -2.3384 -0.0232 18.6485
Bi -2.8349 -6.5407 10.0792
Bi -2.9141 0.0269 14.8547
Bi -5.8326 -8.4736 8.0967
Bi 0.0837 1.9598 16.8372
Bi -5.8080 -8.2877 4.0492
Bi 0.0590 1.7739 20.8847
Bi -2.8210 -6.4192 2.3840
Bi -2.9279 -0.0946 22.5500
Bi -2.8362 -2.5221 2.6416
Bi -2.9127 -3.9917 22.2923
Bi 0.0865 2.6966 12.4670
Bi 0.0000 0.0000 0.0000
Mo -2.9415 -10.5348 6.1914
Mo -2.8075 4.0210 18.7426
Mo 0.0462 -5.2064 12.1356
Mo -5.7952 -1.3074 12.7983
Mo 0.1150 -2.7003 24.6316
Mo -5.8639 -3.8135 0.3023
Mo -2.9134 -10.6315 1.9471
Mo -2.8355 4.1177 22.9869
Mo -2.9216 1.3818 10.6249
Mo -2.8274 -7.8955 14.3090
O -1.5453 -4.6108 6.2556
O -4.2037 -1.9030 18.6784
O -4.5987 -4.5987 6.2778
O -1.1503 -1.9151 18.6561
O -4.2711 -6.9742 8.3859
O -1.4778 0.4604 16.5481
O -5.2855 -1.4199 6.5099
O -0.4634 -5.0939 18.4241
O -1.3640 -2.4615 8.6129
O -4.3849 -4.0523 16.3211
O -4.2661 -2.2295 4.2132
O -1.4828 -4.2842 20.7208
O -4.3644 -6.6855 3.8840
O -1.3845 0.1717 21.0499
O -4.3875 -2.5158 8.6567
O -1.3615 -3.9979 16.2772
O -1.2914 -6.8345 8.3457
O -4.4575 0.3208 16.5883
O -2.4894 -4.5042 3.3736
O -3.2596 -2.0096 21.5604
O -1.2628 -2.3880 4.1841
O -4.4861 -4.1258 20.7499
O -1.3698 -6.7336 3.9986
O -4.3791 0.2198 20.9353
O -5.2770 -7.7757 6.0891
O -0.4719 1.2619 18.8448
O -2.6406 -4.6856 8.9095
O -3.1083 -1.8282 16.0245
O -1.8850 -9.0783 6.0375
O -3.8640 2.5645 18.8965
O -1.8719 -0.0991 6.2580
O -3.8770 -6.4147 18.6759
O -0.1949 -7.0488 11.7276
O -5.5541 0.5350 13.2064
O -4.4173 -5.0030 10.9980
O -1.3316 -1.5108 13.9360
O -5.1536 -4.3590 24.1147
O -0.5953 -2.1548 0.8192
O -3.9261 1.5050 7.6736
O -1.8228 -8.0187 17.2603
O -4.5646 2.2238 10.5525
O -1.1844 -8.7376 14.3815
O -1.3579 -2.3224 23.6587
O -4.3910 -4.1913 1.2752
O -4.0638 -10.6428 4.7862
O -1.6852 4.1290 20.1477
O -2.9973 -0.2680 9.9357
O -2.7516 -6.2458 14.9982
O -0.3542 -8.0218 1.4619
O -5.3947 1.5081 23.4720
O -4.5399 -1.5317 24.2309
O -1.2090 -4.9821 0.7030
O -1.6641 -9.4904 9.8699
O -4.0848 2.9766 15.0640
O -2.0614 -10.6366 0.3407
O -3.6875 4.1228 24.5932
O -4.6088 -11.3208 1.8399
O -1.1401 4.8070 23.0940
O -0.1104 -1.0408 11.0066
O -5.6385 -5.4729 13.9274
O -1.8947 0.1782 2.9165
O -3.8542 -6.6920 22.0174
O -2.9489 -8.9662 2.5647
O -2.8001 2.4524 22.3693
O -1.6144 -4.8757 11.3701
O -4.1346 -1.6380 13.5639
O -2.3968 1.2691 12.3259
O -3.3521 -7.7829 12.6081
O 0.0856 -3.2569 12.4670
```

Calculated values
Magnetic moment = 0.11 μB/f.u.
SG = P-1
Energy above the lowest structure with this stoichiometry = 0.0 meV per atom
E_tot = -661.4 eV for the cell shown
Density = 7.08 g/cm3
Calculated formation energy = -1.81 eV/atom



Entry 2:
First-principles (GGA+U) data for an optimized crystal structure of Bi14MoO24, as listed in Materials Project.

```
78
Lattice="-10.5480 0.0000 0.0000 3.2597 10.0457 0.0000 -0.0276 -0.1002 -12.3877" Properties=species:S:1:pos:R:3 pbc="T T T"
Bi -3.7952 0.3587 -1.1839
Bi -0.8762 1.1492 -3.9544
Bi -7.5878 0.7530 -2.5080
Bi -4.5198 1.2516 -5.1088
Bi -1.2831 1.7101 -7.6778
Bi -8.3715 1.5372 -6.1944
Bi -5.2713 2.3767 -8.7008
Bi -2.3486 3.1135 -10.8913
Bi -7.4838 5.3008 -7.3067
Bi -4.5242 6.1083 -10.3183
Bi -8.9223 2.5217 -9.8698
Bi -5.8581 3.4160 -0.0019
Bi -2.7916 3.8372 -2.0694
Bi -0.7367 5.6884 -8.6898
Bi -8.1443 6.2585 -11.2409
Bi -4.9673 6.8319 -1.4963
Bi 0.8284 3.6869 -1.1468
Bi -6.5792 4.2570 -3.6979
Bi -1.4578 6.5294 -12.3858
Bi 1.6064 7.4237 -2.5179
Bi -6.0327 8.2353 -4.7098
Bi 0.1680 4.6446 -5.0810
Bi -2.0446 7.5688 -3.6869
Bi 1.0556 8.4082 -6.1933
Bi -6.4397 8.7963 -8.4333
Bi -2.7961 8.6939 -7.2789
Bi 0.2719 9.1925 -9.8796
Bi -3.5207 9.5868 -11.2038
Mo 0.0000 0.0000 0.0000
Mo -3.6579 4.9727 -6.1938
O -3.4252 1.3313 -3.1337
O -2.2825 0.6861 -5.9135
O -6.5203 1.6374 -4.1335
O -9.2554 0.5382 -4.2384
O -5.8701 0.7924 -7.1900
O -0.8333 1.2198 -11.3151
O -2.8713 3.8849 -7.5237
O -5.1906 3.8328 -6.1648
O -3.4437 1.2543 -9.3530
O -8.2788 4.2079 -5.2051
O -0.7499 0.7923 -1.5417
O -0.0131 2.3703 -5.9115
O -9.6189 1.0076 -8.1212
O -6.5018 1.5911 -10.3112
O -7.7255 3.2575 -8.2495
O -4.6175 3.8611 -10.5120
O -3.6063 2.6454 -0.3306
O -5.8675 0.8847 -1.0370
O -7.1267 6.3667 -9.2896
O -0.2296 3.6033 -9.3111
O -8.2704 4.1284 -11.3410
O -5.9146 5.6890 -12.0620
O -4.9634 4.4371 -1.8959
O 0.3839 6.6230 -10.3155
O -7.6998 3.3224 -2.0722
O -6.5660 9.1531 -10.8460
O -2.3525 5.5084 -10.4918
O -1.4013 4.2564 -0.3257
O 0.9545 5.8171 -1.0467
O -4.4445 6.0605 -4.8639
O -6.4826 8.7256 -1.0726
O -7.0863 6.3422 -3.0765
O -0.1892 3.5788 -3.0981
O -1.4484 9.0607 -11.3506
O -3.7095 7.3001 -12.0571
O -2.6984 6.0844 -1.8756
O 0.4096 6.6879 -4.1381
O -0.8141 8.3544 -2.0765
O 2.3030 8.9379 -4.2665
O -7.3028 7.5751 -6.4761
O 0.9630 5.7376 -7.1826
O -3.8722 8.6911 -3.0346
O -2.1252 6.1126 -6.2229
O -1.4458 9.1530 -5.1977
O 1.9395 9.4073 -8.1493
O -0.7956 8.3080 -8.2542
O -5.0334 9.2593 -6.4742
O -3.8907 8.6141 -9.2540
```

Calculated values
Magnetic moment = 1.46 μB/f.u.
SG = P-1
Energy above the lowest structure with this stoichiometry = 98.2 meV per atom
E_tot = -453.5 eV for the cell shown
Density = 8.62 g/cm3
Calculated formation energy = -1.60 eV/atom



Entry 3:
First-principles (GGA+U) data for an optimized crystal structure of BiMo2O10, as listed in Materials Project.

```
26
Lattice="1.6845 0.6800 5.3933 -3.9530 -4.4582 -0.2566 8.5940 -7.5202 -1.7360" Properties=species:S:1:pos:R:3 pbc="T T T"
Bi 2.1661 -2.6269 2.8883
Bi 4.1594 -8.6715 0.5124
Mo 1.2212 -5.8095 0.1707
Mo 7.7492 -7.8032 2.6956
Mo 5.1044 -5.4888 3.2299
Mo -1.4237 -3.4951 0.7050
O 3.4339 -1.5298 4.4120
O 2.8916 -9.7686 -1.0114
O -0.1423 -4.4945 -0.4492
O 6.4679 -6.8039 3.8499
O 3.6578 -4.3449 3.7165
O 5.7983 -9.6930 -0.9482
O 2.6677 -6.9534 -0.3158
O 0.5272 -1.6054 4.3489
O 1.6673 -6.4445 4.1660
O 7.5186 -7.3569 -1.3432
O 4.6582 -4.8539 -0.7654
O -1.1931 -3.9415 4.7438
O 1.9418 -4.7760 1.3765
O 6.5555 -8.4228 1.5854
O 4.3837 -6.5224 2.0241
O -0.2300 -2.8756 1.8152
O 0.1338 -6.8467 1.1575
O 8.4168 -6.3988 1.7937
O 6.1918 -4.4517 2.2431
O -2.0913 -4.8996 1.6070
```

Calculated values
Magnetic moment = 5.00 μB/f.u.
SG = P2_1/m
Energy above the lowest structure with this stoichiometry = 0.0 meV per atom
E_tot = -154.9 eV for the cell shown
Density = 5.03 g/cm3
Calculated formation energy = -1.20 eV/atom



Entry 4:
First-principles (GGA+U) data for an optimized crystal structure of Bi14MoO24, as listed in Materials Project.

```
39
Lattice="-3.6372 -4.4718 6.5312 6.8965 -5.3181 0.1993 5.4551 0.2784 9.0378" Properties=species:S:1:pos:R:3 pbc="T T T"
Bi 6.3147 -4.3108 3.9914
Bi 6.3884 -7.3524 6.7157
Bi 2.9120 -5.9915 7.8190
Bi -0.7426 -4.8253 9.2200
Bi 2.3997 -5.2007 11.7769
Bi 2.3260 -2.1591 9.0526
Bi 5.8024 -3.5200 7.9493
Bi 9.4570 -4.6862 6.5483
Bi 0.1219 -5.8967 5.2957
Bi 3.1374 -3.8933 1.4349
Bi -0.1971 -3.0369 2.9026
Bi 3.4564 -6.7530 3.8279
Bi 2.8517 -3.2423 5.1774
Bi 5.8627 -6.2692 10.5910
Mo 0.0000 0.0000 0.0000
O 2.7521 -3.1535 10.9920
O 8.0189 -3.5767 7.8260
O 5.9623 -6.3580 4.7764
O 0.6955 -5.9349 7.9423
O 5.5104 -3.3119 5.6930
O 1.5173 -1.3817 6.6255
O 3.1568 -3.8751 7.7938
O 3.8709 -0.8186 4.5247
O 3.2040 -6.1996 10.0754
O 7.1971 -8.1298 9.1429
O 5.5576 -5.6364 7.9745
O 4.8435 -8.6930 11.2437
O 6.7060 -6.9731 12.6955
O 6.2176 -3.9450 10.2631
O 4.7270 -5.0781 12.3018
O 8.1966 -5.8399 10.6568
O 2.0084 -2.5384 3.0729
O 2.4968 -5.5665 5.5052
O 3.9874 -4.4334 3.4665
O 0.5178 -3.6716 5.1116
O -2.0979 -5.5683 6.4932
O 5.3572 -4.2216 0.2373
O -0.7022 -1.0349 1.4174
O 3.9615 -8.7551 5.3132
```

Calculated values
Magnetic moment = 0.00 μB/f.u.
SG = I4/m
Energy above the lowest structure with this stoichiometry = 96.6 meV per atom
E_tot = -226.8 eV for the cell shown
Density = 8.69 g/cm3
Calculated formation energy = -1.60 eV/atom



Entry 5:
First-principles (GGA+U) data for an optimized crystal structure of Bi2Mo2O9, as listed in Materials Project.

```
104
Lattice="10.9861 0.0000 0.0000 0.0000 12.0292 0.0000 0.0000 11.9731 12.1757" Properties=species:S:1:pos:R:3 pbc="T T T"
Bi 9.6265 14.9245 4.8151
Bi 6.8392 13.0629 3.0157
Bi 4.1469 10.9393 9.1600
Bi 4.1307 15.0939 9.2151
Bi 9.6629 2.9107 1.2188
Bi 6.8553 8.9084 2.9606
Bi 9.6399 19.0494 9.1035
Bi 1.3623 9.1073 3.1273
Bi 6.8526 20.9110 10.9030
Bi 1.3232 21.0915 10.9570
Bi 4.1698 15.1049 4.8691
Bi 1.3461 4.9528 3.0722
Bi 1.3595 9.0777 7.3606
Bi 6.8162 8.8973 7.3066
Bi 4.1335 3.0912 1.2727
Bi 9.6238 14.8949 9.0485
Mo 1.4295 16.9957 7.0559
Mo 6.8381 16.9413 7.1040
Mo 4.1234 10.9997 5.1400
Mo 6.8627 13.0025 7.0358
Mo 4.1479 7.0610 5.0717
Mo 6.8967 17.0039 11.0772
Mo 6.9225 12.9930 11.2077
Mo 1.4037 12.9848 7.1863
Mo 9.5824 11.0174 4.9894
Mo 9.6164 7.0159 0.9479
Mo 9.6410 10.9547 1.0162
Mo 1.3697 16.9863 11.2278
Mo 4.0635 11.0092 0.9680
Mo 4.0894 6.9983 1.0985
Mo 9.5566 7.0065 5.1198
Mo 1.3451 13.0475 11.1596
O 10.8994 3.2851 3.0160
O 2.6892 13.1561 8.4679
O 8.7432 10.7765 6.5228
O 8.9584 5.3453 4.9322
O 5.9858 16.6385 5.5617
O 5.5812 13.1526 10.0096
O 3.4654 12.6703 1.1557
O 5.0003 7.3638 6.6140
O 8.2969 10.8461 3.7079
O 2.8858 3.3980 3.0825
O 10.3745 5.3908 1.2017
O 0.0507 15.7986 10.9434
O 10.2609 12.6888 4.8435
O 8.1486 13.1928 8.2618
O 7.7359 4.7900 0.4350
O 5.4359 8.2423 1.1466
O 8.1818 15.7303 7.2041
O 4.8814 12.6249 4.8862
O 5.5501 15.7599 11.0292
O 0.7349 16.6417 5.3956
O 8.2124 8.1932 4.8367
O 8.3788 14.6177 3.0053
O 3.2502 19.2122 11.7407
O 2.8042 8.2719 4.9716
O 7.5206 11.3319 11.0200
O 8.8904 12.6180 1.1627
O 0.1387 13.2262 9.8399
O 3.4465 10.6348 6.8086
O 2.8039 7.1696 2.3800
O 5.3543 7.2397 3.7520
O 8.2667 14.1798 10.9246
O 2.2429 13.2257 5.6529
O 10.8979 7.1660 3.9217
O 2.0276 18.6569 7.2435
O 5.4423 9.8121 4.8555
O 0.4928 1.3772 0.5262
O 10.9354 8.2036 1.2323
O 5.5797 9.2716 9.1038
O 3.3974 5.3977 4.9252
O 6.1046 11.3773 7.2895
O 10.9290 9.7734 4.9413
O 10.8474 10.7760 2.3358
O 8.3305 7.2063 2.1740
O 2.7194 9.8225 1.2512
O 7.5886 18.6045 7.2505
O 2.0465 4.6483 0.7208
O 2.6555 16.7960 10.0018
O 8.1003 20.6042 9.0932
O 8.2972 9.7438 1.1162
O 7.5395 13.3674 5.3671
O 2.8375 10.8094 3.9139
O 4.7679 5.3269 1.2443
O 0.0571 14.2288 7.2344
O 4.7581 22.6282 11.4834
O 6.2182 18.6753 10.9314
O 2.6073 9.3846 9.1704
O 0.7252 11.3134 7.3322
O 10.4933 22.6250 11.6495
O 0.6116 18.6114 10.9740
O 5.5437 14.1901 7.3202
O 0.0866 20.7172 9.1597
O 5.6317 16.7625 8.4237
O 2.7736 15.8090 7.3390
O 2.6888 14.2585 11.0595
O 5.4064 14.7306 3.0719
O 6.2280 1.3740 0.6923
O 10.2511 7.3605 6.7801
O 5.4049 10.8497 2.1661
O 2.0956 11.3843 11.0130
O 8.9396 19.3539 11.4549
O 8.1822 16.8326 9.7957
O 0.0881 16.8362 8.2540
```

Calculated values
Magnetic moment = 0.00 μB/f.u.
SG = P2_1/c
E_tot = -687.5 eV for the cell shown
Density = 6.22 g/cm3
Calculated formation energy = -1.89 eV/atom



Entry 6:
First-principles (GGA+U) data for an optimized crystal structure of Bi14MoO24, as listed in Materials Project.

```
39
Lattice="8.9328 0.0000 0.0000 -0.0801 8.9388 0.0000 -4.3815 -4.4519 8.5899" Properties=species:S:1:pos:R:3 pbc="T T T"
Bi -1.7928 5.4738 5.6707
Bi -1.0261 2.7201 2.8598
Bi 0.0391 0.0154 5.8594
Bi 0.9018 6.2765 2.8341
Bi -2.4674 -0.5286 8.5672
Bi 1.7308 3.5231 5.6127
Bi 2.7027 0.9944 2.8492
Bi -0.4947 2.5516 8.5723
Bi 3.4814 -1.7422 5.6624
Bi 4.3942 4.4671 2.7368
Bi 0.6203 -2.4875 8.5850
Bi 5.4470 1.7762 5.6389
Bi 6.2501 -0.9650 2.8758
Bi 6.9561 5.0459 0.0221
Mo 4.3526 4.5813 8.2590
O 1.4685 0.7063 0.2532
O 6.7096 0.7473 4.2390
O -1.6110 1.0849 7.2272
O -1.0248 -1.5741 7.1876
O -0.6670 -2.2028 4.2733
O -0.0890 4.5170 1.9546
O -0.0167 4.5005 6.5680
O 0.6933 2.2621 4.2370
O 1.0823 1.6824 7.2206
O 1.6097 -0.9935 7.2080
O 2.1484 5.1935 4.1911
O 2.2183 -0.6599 4.3171
O 2.7912 5.5369 1.3410
O 3.3745 2.8884 1.3845
O 3.1362 -3.1413 8.5862
O 3.7747 2.2484 4.2248
O 4.4850 0.0122 1.9724
O 4.4840 -0.0021 6.5750
O 4.4963 4.3791 6.4814
O 5.1941 -2.1633 4.2771
O 5.4536 6.1130 1.3556
O 6.0240 3.4557 1.3934
O -2.2197 3.7682 4.2728
O 8.3117 7.4531 0.4191
```

Calculated values
SG = P1
Energy above the lowest structure with this stoichiometry = 0.0 meV per atom
E_tot = -230.6 eV for the cell shown
Density = 8.25 g/cm3
Calculated formation energy = -1.70 eV/atom